[1]
## In2Se6O15 (r2SCAN)

Data for a geometry-optimized In2Se6O15 structure.

DFT formation energy in eV/atom: -1.026
Total magnetic moment in μB/f.u.: 0.00
Energy in eV per formula unit: -244.203

```
data_In2Se6O15
_chemical_formula_sum 'In8 Se24 O60'
_cell_length_a 11.212
_cell_length_b 13.364
_cell_length_c 9.757
_cell_angle_alpha 90.00
_cell_angle_beta 105.22
_cell_angle_gamma 90.00
_symmetry_space_group_name_H-M 'P 1 c 1'
_symmetry_Int_Tables_number 7
_symmetry_space_group_name_Hall 'P -2yc'
loop_
_atom_site_label
_atom_site_type_symbol
_atom_site_fract_x
_atom_site_fract_y
_atom_site_fract_z
In1 In 0.000 0.047 0.000
In2 In 0.006 0.452 0.519
In3 In 0.471 0.207 0.557
In4 In 0.487 0.297 0.065
Se1 Se 0.214 0.011 0.827
Se2 Se 0.229 0.487 0.338
Se3 Se 0.249 0.239 0.755
Se4 Se 0.267 0.267 0.225
Se5 Se 0.509 0.035 0.171
Se6 Se 0.529 0.454 0.669
Se7 Se 0.690 0.203 0.896
Se8 Se 0.698 0.272 0.400
Se9 Se 0.787 0.033 0.670
Se10 Se 0.790 0.457 0.164
Se11 Se 0.952 0.298 0.893
Se12 Se 0.975 0.211 0.394
O1 O 0.027 0.293 0.528
O2 O 0.046 0.107 0.474
O3 O 0.094 0.085 0.840
O4 O 0.114 0.443 0.738
O5 O 0.166 0.048 0.170
O6 O 0.170 0.365 0.266
O7 O 0.187 0.482 0.491
O8 O 0.307 0.109 0.779
O9 O 0.307 0.291 0.917
O10 O 0.309 0.206 0.380
O11 O 0.352 0.276 0.669
O12 O 0.393 0.336 0.225
O13 O 0.446 0.047 0.540
O14 O 0.446 0.141 0.093
O15 O 0.501 0.457 0.041
O16 O 0.546 0.356 0.567
O17 O 0.595 0.297 0.914
O18 O 0.597 0.184 0.424
O19 O 0.606 0.150 0.744
O20 O 0.661 0.057 0.137
O21 O 0.661 0.286 0.222
O22 O 0.686 0.483 0.759
O23 O 0.791 0.272 0.810
O24 O 0.821 0.042 0.849
O25 O 0.824 0.181 0.420
O26 O 0.859 0.438 0.627
O27 O 0.888 0.410 0.312
O28 O 0.894 0.051 0.152
O29 O 0.940 0.397 0.995
O30 O 0.984 0.209 0.020
```

=====

[2]
## In2Si2O7 (r2SCAN)

Data for a geometry-optimized In2Si2O7 structure.

DFT formation energy in eV/atom: -2.522
Total magnetic moment in μB/f.u.: 0.00
Energy in eV per formula unit: -132.250

```
data_In2Si2O7
_chemical_formula_sum 'In4 Si4 O14'
_cell_length_a 6.654
_cell_length_b 8.640
_cell_length_c 4.717
_cell_angle_alpha 90.00
_cell_angle_beta 102.83
_cell_angle_gamma 90.00
_symmetry_space_group_name_H-M 'C 1 2/m 1'
_symmetry_Int_Tables_number 12
_symmetry_space_group_name_Hall '-C 2y'
loop_
_atom_site_label
_atom_site_type_symbol
_atom_site_fract_x
_atom_site_fract_y
_atom_site_fract_z
In1 In 0.000 0.192 0.000
Si1 Si 0.220 0.500 0.410
O1 O 0.000 0.500 0.500
O2 O 0.110 0.000 0.283
O3 O 0.235 0.344 0.219
```

=====

[3]
## In15SnO24 (r2SCAN)

Data for a geometry-optimized In15SnO24 structure.

DFT formation energy in eV/atom: -1.841
Total magnetic moment in μB/f.u.: 0.00
Energy in eV per formula unit: -580.387

```
data_In15SnO24
_chemical_formula_sum 'In30 Sn2 O48'
_cell_length_a 14.396
_cell_length_b 10.184
_cell_length_c 10.198
_cell_angle_alpha 90.00
_cell_angle_beta 134.89
_cell_angle_gamma 90.00
_symmetry_space_group_name_H-M 'C 1 2 1'
_symmetry_Int_Tables_number 5
_symmetry_space_group_name_Hall 'C 2y'
loop_
_atom_site_label
_atom_site_type_symbol
_atom_site_fract_x
_atom_site_fract_y
_atom_site_fract_z
In1 In 0.000 0.000 0.000
In2 In 0.000 0.066 0.500
In3 In 0.000 0.282 0.251
In4 In 0.000 0.566 0.500
In5 In 0.002 0.783 0.252
In6 In 0.217 0.034 0.467
In7 In 0.217 0.532 0.966
In8 In 0.249 0.782 0.716
In9 In 0.250 0.283 0.782
Sn1 Sn 0.000 0.498 0.000
O1 O 0.092 0.646 0.986
O2 O 0.096 0.153 0.206
O3 O 0.096 0.415 0.707
O4 O 0.098 0.915 0.489
O5 O 0.127 0.430 0.276
O6 O 0.132 0.642 0.478
O7 O 0.132 0.920 0.977
O8 O 0.134 0.143 0.788
O9 O 0.135 0.381 0.021
O10 O 0.139 0.188 0.521
O11 O 0.141 0.688 0.761
O12 O 0.141 0.880 0.260
```

=====

[4]
## In15SnO24 (r2SCAN)

Data for a geometry-optimized In15SnO24 structure.

DFT formation energy in eV/atom: -1.842
Total magnetic moment in μB/f.u.: 0.00
Energy in eV per formula unit: -580.459

```
data_In15SnO24
_chemical_formula_sum 'In45 Sn3 O72'
_cell_length_a 14.3984
_cell_length_b 14.3984
_cell_length_c 8.8514
_cell_angle_alpha 90.00
_cell_angle_beta 90.00
_cell_angle_gamma 120.00
_symmetry_space_group_name_H-M 'R -3'
_symmetry_Int_Tables_number 148
_symmetry_space_group_name_Hall '-R 3'
loop_
_atom_site_label
_atom_site_type_symbol
_atom_site_fract_x
_atom_site_fract_y
_atom_site_fract_z
In1 In 0.0000 0.5000 0.0000
In2 In 0.0120 0.7722 0.0222
In3 In 0.0717 0.1772 0.6439
Sn1 Sn 0.0000 0.0000 0.0000
O1 O 0.0009 0.2713 0.7374
O2 O 0.0106 0.4828 0.7533
O3 O 0.0634 0.1647 0.3920
O4 O 0.0702 0.9233 0.8836
```

=====

[5]
## In6WO12 (r2SCAN)

Data for a geometry-optimized In6WO12 structure.

DFT formation energy in eV/atom: -1.942
Total magnetic moment in μB/f.u.: 0.00
Energy in eV per formula unit: -295.400

```
data_In6WO12
_chemical_formula_sum 'In18 W3 O36'
_cell_length_a 9.5349
_cell_length_b 9.5349
_cell_length_c 8.9694
_cell_angle_alpha 90.00
_cell_angle_beta 90.00
_cell_angle_gamma 120.00
_symmetry_space_group_name_H-M 'R -3'
_symmetry_Int_Tables_number 148
_symmetry_space_group_name_Hall '-R 3'
loop_
_atom_site_label
_atom_site_type_symbol
_atom_site_fract_x
_atom_site_fract_y
_atom_site_fract_z
In1 In 0.0329 0.7839 0.1443
W1 W 0.0000 0.0000 0.5000
O1 O 0.0162 0.8396 0.3812
O2 O 0.0191 0.8005 0.8944
```

=====

[6]
## YbInO3 (r2SCAN)

Data for a geometry-optimized YbInO3 structure.

DFT formation energy in eV/atom: -2.060
Total magnetic moment in μB/f.u.: 0.00
Energy in eV per formula unit: -87.327

```
data_YbInO3
_chemical_formula_sum 'Yb1 In1 O3'
_cell_length_a 4.068
_cell_length_b 4.068
_cell_length_c 4.068
_cell_angle_alpha 90.00
_cell_angle_beta 90.00
_cell_angle_gamma 90.00
_symmetry_space_group_name_H-M 'P m -3 m'
_symmetry_Int_Tables_number 221
_symmetry_space_group_name_Hall '-P 4 2 3'
loop_
_atom_site_label
_atom_site_type_symbol
_atom_site_fract_x
_atom_site_fract_y
_atom_site_fract_z
Yb1 Yb 0.000 0.000 0.000
In1 In 0.500 0.500 0.500
O1 O 0.000 0.500 0.500
```

=====

[7]
## Tm2InOs (r2SCAN)

Data for a geometry-optimized Tm2InOs structure.

DFT formation energy in eV/atom: -0.409
Total magnetic moment in μB/f.u.: 0.00
Energy in eV per formula unit: -147.441

```
data_Tm2InOs
_chemical_formula_sum 'Tm8 In4 Os4'
_cell_length_a 6.999
_cell_length_b 6.999
_cell_length_c 6.999
_cell_angle_alpha 90.00
_cell_angle_beta 90.00
_cell_angle_gamma 90.00
_symmetry_space_group_name_H-M 'F m -3 m'
_symmetry_Int_Tables_number 225
_symmetry_space_group_name_Hall '-F 4 2 3'
loop_
_atom_site_label
_atom_site_type_symbol
_atom_site_fract_x
_atom_site_fract_y
_atom_site_fract_z
Tm1 Tm 0.250 0.250 0.250
In1 In 0.000 0.000 0.000
Os1 Os 0.000 0.000 0.500
```

=====

[8]
## InP (r2SCAN)

Data for a geometry-optimized InP structure.

DFT formation energy in eV/atom: -0.354
Total magnetic moment in μB/f.u.: 0.00
Energy in eV per formula unit: -32.289

```
data_InP
_chemical_formula_sum 'In2 P2'
_cell_length_a 4.1681
_cell_length_b 4.1681
_cell_length_c 6.8400
_cell_angle_alpha 90.00
_cell_angle_beta 90.00
_cell_angle_gamma 120.00
_symmetry_space_group_name_H-M 'P 63 m c'
_symmetry_Int_Tables_number 186
_symmetry_space_group_name_Hall 'P 6c -2c'
loop_
_atom_site_label
_atom_site_type_symbol
_atom_site_fract_x
_atom_site_fract_y
_atom_site_fract_z
In1 In 0.3333 0.6667 0.0000
P1 P 0.3333 0.6667 0.3746
```

=====

[9]
## InP (r2SCAN)

Data for a geometry-optimized InP structure.

DFT formation energy in eV/atom: -0.358
Total magnetic moment in μB/f.u.: 0.00
Energy in eV per formula unit: -32.297

```
data_InP
_chemical_formula_sum 'In4 P4'
_cell_length_a 5.904
_cell_length_b 5.904
_cell_length_c 5.904
_cell_angle_alpha 90.00
_cell_angle_beta 90.00
_cell_angle_gamma 90.00
_symmetry_space_group_name_H-M 'F -4 3 m'
_symmetry_Int_Tables_number 216
_symmetry_space_group_name_Hall 'F -4 2 3'
loop_
_atom_site_label
_atom_site_type_symbol
_atom_site_fract_x
_atom_site_fract_y
_atom_site_fract_z
In1 In 0.000 0.000 0.000
P1 P 0.250 0.250 0.250
```

=====

[10]
## InPPd5 (r2SCAN)

Data for a geometry-optimized InPPd5 structure.

DFT formation energy in eV/atom: -0.592
Total magnetic moment in μB/f.u.: 0.00
Energy in eV per formula unit: -150.526

```
data_InPPd5
_chemical_formula_sum 'In1 P1 Pd5'
_cell_length_a 3.953
_cell_length_b 3.953
_cell_length_c 6.970
_cell_angle_alpha 90.00
_cell_angle_beta 90.00
_cell_angle_gamma 90.00
_symmetry_space_group_name_H-M 'P 4/m m m'
_symmetry_Int_Tables_number 123
_symmetry_space_group_name_Hall '-P 4 2'
loop_
_atom_site_label
_atom_site_type_symbol
_atom_site_fract_x
_atom_site_fract_y
_atom_site_fract_z
In1 In 0.000 0.000 0.000
P1 P 0.500 0.500 0.500
Pd1 Pd 0.000 0.500 0.299
Pd2 Pd 0.500 0.500 0.000
```

=====

[11]
## InPPt5 (r2SCAN)

Data for a geometry-optimized InPPt5 structure.

DFT formation energy in eV/atom: -0.510
Total magnetic moment in μB/f.u.: 0.00
Energy in eV per formula unit: -292.592

```
data_InPPt5
_chemical_formula_sum 'In1 P1 Pt5'
_cell_length_a 3.968
_cell_length_b 3.968
_cell_length_c 7.026
_cell_angle_alpha 90.00
_cell_angle_beta 90.00
_cell_angle_gamma 90.00
_symmetry_space_group_name_H-M 'P 4/m m m'
_symmetry_Int_Tables_number 123
_symmetry_space_group_name_Hall '-P 4 2'
loop_
_atom_site_label
_atom_site_type_symbol
_atom_site_fract_x
_atom_site_fract_y
_atom_site_fract_z
In1 In 0.000 0.000 0.000
P1 P 0.500 0.500 0.500
Pt1 Pt 0.000 0.500 0.298
Pt2 Pt 0.500 0.500 0.000
```

=====

[12]
## Rb3InP2 (r2SCAN)

Data for a geometry-optimized Rb3InP2 structure.

DFT formation energy in eV/atom: -0.477
Total magnetic moment in μB/f.u.: 0.00
Energy in eV per formula unit: -85.235

```
data_Rb3InP2
_chemical_formula_sum 'Rb24 In8 P16'
_cell_length_a 9.464
_cell_length_b 12.570
_cell_length_c 15.951
_cell_angle_alpha 97.29
_cell_angle_beta 107.04
_cell_angle_gamma 106.27
_symmetry_space_group_name_H-M 'P -1'
_symmetry_Int_Tables_number 2
_symmetry_space_group_name_Hall '-P 1'
loop_
_atom_site_label
_atom_site_type_symbol
_atom_site_fract_x
_atom_site_fract_y
_atom_site_fract_z
Rb1 Rb 0.016 0.096 0.195
Rb2 Rb 0.020 0.267 0.822
Rb3 Rb 0.079 0.393 0.090
Rb4 Rb 0.148 0.588 0.474
Rb5 Rb 0.168 0.077 0.656
Rb6 Rb 0.220 0.588 0.756
Rb7 Rb 0.316 0.880 0.479
Rb8 Rb 0.336 0.749 0.119
Rb9 Rb 0.388 0.878 0.915
Rb10 Rb 0.394 0.398 0.355
Rb11 Rb 0.417 0.070 0.253
Rb12 Rb 0.464 0.422 0.805
In1 In 0.076 0.232 0.443
In2 In 0.173 0.109 0.011
In3 In 0.422 0.355 0.009
In4 In 0.437 0.283 0.578
P1 P 0.124 0.902 0.039
P2 P 0.188 0.805 0.658
P3 P 0.232 0.379 0.589
P4 P 0.275 0.130 0.432
P5 P 0.289 0.513 0.963
P6 P 0.298 0.661 0.314
P7 P 0.312 0.156 0.892
P8 P 0.371 0.278 0.147
```

=====

[13]
## PaInRu2 (r2SCAN)

Data for a geometry-optimized PaInRu2 structure.

DFT formation energy in eV/atom: -0.436
Total magnetic moment in μB/f.u.: 0.00
Energy in eV per formula unit: -152.028

```
data_PaInRu2
_chemical_formula_sum 'Pa4 In4 Ru8'
_cell_length_a 6.658
_cell_length_b 6.658
_cell_length_c 6.658
_cell_angle_alpha 90.00
_cell_angle_beta 90.00
_cell_angle_gamma 90.00
_symmetry_space_group_name_H-M 'F m -3 m'
_symmetry_Int_Tables_number 225
_symmetry_space_group_name_Hall '-F 4 2 3'
loop_
_atom_site_label
_atom_site_type_symbol
_atom_site_fract_x
_atom_site_fract_y
_atom_site_fract_z
Pa1 Pa 0.000 0.000 0.000
In1 In 0.000 0.000 0.500
Ru1 Ru 0.250 0.250 0.250
```

=====

[14]
## PaInTc2 (r2SCAN)

Data for a geometry-optimized PaInTc2 structure.

DFT formation energy in eV/atom: -0.127
Total magnetic moment in μB/f.u.: 0.02
Energy in eV per formula unit: -151.873

```
data_PaInTc2
_chemical_formula_sum 'Pa4 In4 Tc8'
_cell_length_a 6.658
_cell_length_b 6.658
_cell_length_c 6.658
_cell_angle_alpha 90.00
_cell_angle_beta 90.00
_cell_angle_gamma 90.00
_symmetry_space_group_name_H-M 'F m -3 m'
_symmetry_Int_Tables_number 225
_symmetry_space_group_name_Hall '-F 4 2 3'
loop_
_atom_site_label
_atom_site_type_symbol
_atom_site_fract_x
_atom_site_fract_y
_atom_site_fract_z
Pa1 Pa 0.000 0.000 0.000
In1 In 0.000 0.000 0.500
Tc1 Tc 0.250 0.250 0.250
```

=====

[15]
## In3Pb (r2SCAN)

Data for a geometry-optimized In3Pb structure.

DFT formation energy in eV/atom: 0.035
Total magnetic moment in μB/f.u.: 0.00
Energy in eV per formula unit: -123.880

```
data_In3Pb
_chemical_formula_sum 'In6 Pb2'
_cell_length_a 6.9163
_cell_length_b 6.9163
_cell_length_c 5.3792
_cell_angle_alpha 90.00
_cell_angle_beta 90.00
_cell_angle_gamma 120.00
_symmetry_space_group_name_H-M 'P 63/m m c'
_symmetry_Int_Tables_number 194
_symmetry_space_group_name_Hall '-P 6c 2c'
loop_
_atom_site_label
_atom_site_type_symbol
_atom_site_fract_x
_atom_site_fract_y
_atom_site_fract_z
In1 In 0.1623 0.3246 0.2500
Pb1 Pb 0.3333 0.6667 0.7500
```

=====

[16]
## In3Pb (r2SCAN)

Data for a geometry-optimized In3Pb structure.

DFT formation energy in eV/atom: 0.066
Total magnetic moment in μB/f.u.: 0.00
Energy in eV per formula unit: -123.759

```
data_In3Pb
_chemical_formula_sum 'In12 Pb4'
_cell_length_a 7.676
_cell_length_b 7.676
_cell_length_c 7.676
_cell_angle_alpha 90.00
_cell_angle_beta 90.00
_cell_angle_gamma 90.00
_symmetry_space_group_name_H-M 'F m -3 m'
_symmetry_Int_Tables_number 225
_symmetry_space_group_name_Hall '-F 4 2 3'
loop_
_atom_site_label
_atom_site_type_symbol
_atom_site_fract_x
_atom_site_fract_y
_atom_site_fract_z
In1 In 0.000 0.000 0.000
In2 In 0.250 0.250 0.250
Pb1 Pb 0.000 0.000 0.500
```